# GdI3O9 | the Materials Project database | PBE-GGA | optimized geometry
data_GdI3O9
_symmetry_space_group_name_H-M 'P 1 21/c 1'
_symmetry_Int_Tables_number 14
_symmetry_space_group_name_Hall '-P 2ybc'
_cell_length_a 7.287
_cell_length_b 8.661
_cell_length_c 13.638
_cell_angle_alpha 90.00
_cell_angle_beta 100.34
_cell_angle_gamma 90.00
loop_
_atom_site_label
_atom_site_fract_x
_atom_site_fract_y
_atom_site_fract_z
Gd1 0.173 0.245 0.145
I1 0.168 0.706 0.110
I2 0.267 0.020 0.890
I3 0.332 0.544 0.857
O1 0.021 0.528 0.386
O2 0.033 0.169 0.488
O3 0.148 0.689 0.823
O4 0.162 0.528 0.182
O5 0.231 0.207 0.825
O6 0.321 0.078 0.021
O7 0.339 0.032 0.232
O8 0.361 0.666 0.045
O9 0.472 0.174 0.637
# Total magnetization   27.8 μB per cell
# E_form   -1.465 eV/atom
# Total energy after the MP2020 corrections   -0.232 hartree per atom
# ρ   5.3 g/cm³